(1)
Computed, not measured: a relaxed NaNbAlP3O12 crystal at the GGA-PBE level of DFT.

The structure in POSCAR format:
```
NaNbAlP3O12
1.0
-2.341 8.113 -1.546
-4.837 -6.484 -2.872
-11.639 0.265 19.005
Na Nb Al P O
6 6 6 18 72
Direct
0.000 0.000 0.494 Na
0.000 0.000 0.994 Na
0.667 0.333 0.827 Na
0.667 0.333 0.327 Na
0.333 0.667 0.160 Na
0.333 0.667 0.660 Na
0.000 0.000 0.643 Nb
0.000 0.000 0.143 Nb
0.667 0.333 0.976 Nb
0.667 0.333 0.476 Nb
0.333 0.667 0.310 Nb
0.333 0.667 0.810 Nb
0.000 0.000 0.354 Al
0.000 0.000 0.854 Al
0.667 0.333 0.687 Al
0.667 0.333 0.187 Al
0.333 0.667 0.020 Al
0.333 0.667 0.520 Al
0.292 0.015 0.252 P
0.722 0.708 0.252 P
0.985 0.278 0.252 P
0.292 0.278 0.752 P
0.985 0.708 0.752 P
0.722 0.015 0.752 P
0.959 0.348 0.585 P
0.389 0.041 0.585 P
0.652 0.611 0.585 P
0.959 0.611 0.085 P
0.652 0.041 0.085 P
0.389 0.348 0.085 P
0.626 0.681 0.919 P
0.056 0.374 0.919 P
0.319 0.944 0.919 P
0.626 0.944 0.419 P
0.319 0.374 0.419 P
0.056 0.681 0.419 P
0.201 0.035 0.307 O
0.834 0.799 0.307 O
0.965 0.166 0.307 O
0.201 0.166 0.807 O
0.965 0.799 0.807 O
0.834 0.035 0.807 O
0.802 0.977 0.695 O
0.174 0.198 0.695 O
0.023 0.826 0.695 O
0.802 0.826 0.195 O
0.023 0.198 0.195 O
0.174 0.977 0.195 O
0.868 0.369 0.641 O
0.501 0.132 0.641 O
0.631 0.499 0.641 O
0.868 0.499 0.141 O
0.631 0.132 0.141 O
0.501 0.369 0.141 O
0.469 0.310 0.028 O
0.841 0.531 0.028 O
0.690 0.159 0.028 O
0.469 0.159 0.528 O
0.690 0.531 0.528 O
0.841 0.310 0.528 O
0.535 0.702 0.974 O
0.167 0.465 0.974 O
0.298 0.833 0.974 O
0.535 0.833 0.474 O
0.298 0.465 0.474 O
0.167 0.702 0.474 O
0.136 0.643 0.361 O
0.508 0.864 0.361 O
0.357 0.492 0.361 O
0.136 0.492 0.861 O
0.357 0.864 0.861 O
0.508 0.643 0.861 O
0.032 0.844 0.409 O
0.812 0.968 0.409 O
0.156 0.188 0.409 O
0.032 0.188 0.909 O
0.156 0.968 0.909 O
0.812 0.844 0.909 O
0.976 0.174 0.590 O
0.198 0.024 0.590 O
0.826 0.802 0.590 O
0.976 0.802 0.090 O
0.826 0.024 0.090 O
0.198 0.174 0.090 O
0.699 0.177 0.743 O
0.478 0.301 0.743 O
0.823 0.522 0.743 O
0.699 0.522 0.243 O
0.823 0.301 0.243 O
0.478 0.177 0.243 O
0.643 0.507 0.923 O
0.864 0.357 0.923 O
0.493 0.136 0.923 O
0.643 0.136 0.423 O
0.493 0.357 0.423 O
0.864 0.507 0.423 O
0.365 0.510 0.076 O
0.145 0.635 0.076 O
0.490 0.855 0.076 O
0.365 0.855 0.576 O
0.490 0.635 0.576 O
0.145 0.510 0.576 O
0.310 0.840 0.256 O
0.531 0.690 0.256 O
0.160 0.469 0.256 O
0.310 0.469 0.756 O
0.160 0.690 0.756 O
0.531 0.840 0.756 O
```

(2)
Computed, not measured: a relaxed Na2NbAl3P4S2O24 crystal at the GGA-PBE level of DFT.

The structure in POSCAR format:
```
Na2NbAl3P4S2O24
1.0
8.459 0.001 0.012
-4.229 7.331 -0.002
0.030 0.012 22.048
Na Nb Al P S O
6 3 9 12 6 72
Direct
0.997 0.996 0.500 Na
0.003 0.000 0.999 Na
0.667 0.332 0.830 Na
0.674 0.337 0.332 Na
0.331 0.660 0.162 Na
0.334 0.667 0.666 Na
0.664 0.341 0.979 Nb
0.331 0.667 0.311 Nb
0.332 0.667 0.809 Nb
0.982 0.989 0.352 Al
0.001 0.000 0.852 Al
0.001 0.000 0.653 Al
0.998 0.002 0.145 Al
0.667 0.334 0.691 Al
0.677 0.349 0.185 Al
0.674 0.333 0.480 Al
0.326 0.658 0.019 Al
0.335 0.676 0.518 Al
0.725 0.714 0.248 P
0.987 0.272 0.249 P
0.285 0.275 0.749 P
0.989 0.715 0.749 P
0.725 0.010 0.749 P
0.965 0.631 0.087 P
0.372 0.334 0.088 P
0.625 0.681 0.918 P
0.050 0.372 0.918 P
0.322 0.948 0.919 P
0.627 0.960 0.420 P
0.039 0.670 0.420 P
0.287 0.011 0.249 S
0.956 0.333 0.583 S
0.380 0.047 0.583 S
0.666 0.620 0.583 S
0.665 0.041 0.086 S
0.333 0.373 0.420 S
0.206 0.033 0.305 O
0.832 0.795 0.306 O
0.969 0.168 0.307 O
0.203 0.167 0.806 O
0.964 0.797 0.806 O
0.832 0.035 0.806 O
0.799 0.968 0.691 O
0.169 0.201 0.691 O
0.032 0.831 0.691 O
0.803 0.834 0.193 O
0.032 0.198 0.193 O
0.174 0.970 0.195 O
0.873 0.366 0.637 O
0.493 0.129 0.637 O
0.634 0.507 0.637 O
0.874 0.504 0.140 O
0.635 0.127 0.139 O
0.497 0.362 0.141 O
0.460 0.300 0.029 O
0.841 0.539 0.029 O
0.699 0.154 0.030 O
0.463 0.160 0.528 O
0.696 0.536 0.528 O
0.842 0.302 0.528 O
0.534 0.701 0.975 O
0.163 0.461 0.974 O
0.301 0.834 0.975 O
0.536 0.834 0.474 O
0.301 0.459 0.472 O
0.163 0.698 0.474 O
0.127 0.633 0.362 O
0.505 0.871 0.362 O
0.368 0.487 0.363 O
0.128 0.494 0.861 O
0.365 0.870 0.861 O
0.505 0.636 0.861 O
0.028 0.842 0.408 O
0.814 0.978 0.410 O
0.171 0.194 0.410 O
0.026 0.185 0.908 O
0.160 0.973 0.909 O
0.814 0.841 0.909 O
0.975 0.169 0.590 O
0.195 0.026 0.590 O
0.830 0.804 0.589 O
0.976 0.816 0.093 O
0.830 0.025 0.092 O
0.185 0.162 0.093 O
0.694 0.172 0.740 O
0.478 0.306 0.740 O
0.828 0.522 0.740 O
0.691 0.520 0.242 O
0.824 0.302 0.241 O
0.472 0.165 0.242 O
0.641 0.504 0.923 O
0.858 0.355 0.924 O
0.499 0.139 0.925 O
0.640 0.147 0.427 O
0.498 0.358 0.427 O
0.851 0.498 0.427 O
0.360 0.506 0.076 O
0.150 0.646 0.076 O
0.503 0.861 0.078 O
0.360 0.862 0.576 O
0.500 0.638 0.575 O
0.140 0.498 0.575 O
0.306 0.841 0.255 O
0.528 0.693 0.257 O
0.162 0.470 0.258 O
0.308 0.470 0.755 O
0.163 0.692 0.755 O
0.530 0.837 0.755 O
```

(3)
Computed, not measured: a relaxed Na5NbAl3SiP5O24 crystal at the GGA-PBE level of DFT.

The structure in POSCAR format:
```
Na5NbAl3SiP5O24
1.0
-0.478 -1.926 8.411
-6.297 -2.543 -5.368
10.694 -18.618 -3.681
Na Nb Al Si P O
15 3 9 3 15 72
Direct
0.635 0.999 0.251 Na
0.365 0.366 0.251 Na
0.001 0.635 0.251 Na
0.305 0.336 0.587 Na
0.030 0.700 0.585 Na
0.668 0.966 0.585 Na
0.300 0.966 0.082 Na
0.972 0.669 0.913 Na
0.700 0.028 0.912 Na
0.998 0.998 0.496 Na
0.004 0.012 0.999 Na
0.658 0.331 0.825 Na
0.667 0.332 0.333 Na
0.334 0.658 0.163 Na
0.337 0.666 0.666 Na
0.665 0.331 0.980 Nb
0.669 0.340 0.477 Nb
0.329 0.667 0.808 Nb
0.999 0.999 0.354 Al
0.010 0.009 0.851 Al
0.997 0.998 0.649 Al
0.996 0.000 0.148 Al
0.664 0.335 0.689 Al
0.667 0.335 0.184 Al
0.329 0.660 0.020 Al
0.338 0.667 0.517 Al
0.334 0.667 0.316 Al
0.665 0.629 0.588 Si
0.057 0.372 0.919 Si
0.322 0.950 0.919 Si
0.287 0.000 0.250 P
0.714 0.714 0.250 P
0.000 0.286 0.250 P
0.288 0.276 0.748 P
0.987 0.712 0.749 P
0.722 0.011 0.748 P
0.958 0.335 0.586 P
0.377 0.042 0.586 P
0.961 0.629 0.088 P
0.670 0.037 0.087 P
0.371 0.338 0.088 P
0.618 0.670 0.918 P
0.623 0.947 0.415 P
0.320 0.376 0.415 P
0.057 0.678 0.415 P
0.201 0.038 0.305 O
0.835 0.796 0.306 O
0.960 0.165 0.306 O
0.200 0.169 0.805 O
0.968 0.797 0.808 O
0.826 0.029 0.808 O
0.802 0.977 0.691 O
0.175 0.199 0.689 O
0.025 0.827 0.691 O
0.796 0.834 0.194 O
0.039 0.204 0.194 O
0.171 0.963 0.192 O
0.870 0.371 0.640 O
0.503 0.125 0.640 O
0.623 0.487 0.642 O
0.868 0.508 0.143 O
0.633 0.129 0.142 O
0.489 0.362 0.144 O
0.460 0.300 0.031 O
0.845 0.544 0.029 O
0.698 0.154 0.028 O
0.461 0.163 0.528 O
0.706 0.536 0.526 O
0.836 0.294 0.528 O
0.536 0.705 0.974 O
0.172 0.467 0.978 O
0.297 0.835 0.980 O
0.537 0.840 0.474 O
0.301 0.462 0.474 O
0.162 0.696 0.474 O
0.137 0.642 0.357 O
0.507 0.865 0.357 O
0.358 0.492 0.357 O
0.133 0.505 0.859 O
0.377 0.869 0.860 O
0.503 0.630 0.860 O
0.030 0.839 0.409 O
0.810 0.969 0.408 O
0.159 0.189 0.408 O
0.010 0.171 0.909 O
0.148 0.966 0.909 O
0.806 0.830 0.910 O
0.982 0.170 0.591 O
0.192 0.026 0.591 O
0.844 0.824 0.591 O
0.981 0.816 0.093 O
0.839 0.025 0.093 O
0.190 0.164 0.093 O
0.697 0.174 0.742 O
0.475 0.299 0.743 O
0.828 0.523 0.743 O
0.691 0.523 0.243 O
0.832 0.309 0.242 O
0.478 0.167 0.243 O
0.644 0.504 0.924 O
0.855 0.359 0.924 O
0.505 0.148 0.923 O
0.641 0.136 0.421 O
0.494 0.357 0.421 O
0.867 0.503 0.420 O
0.361 0.507 0.079 O
0.147 0.648 0.081 O
0.499 0.856 0.079 O
0.353 0.854 0.576 O
0.489 0.647 0.575 O
0.142 0.503 0.576 O
0.310 0.833 0.257 O
0.523 0.689 0.257 O
0.166 0.477 0.257 O
0.308 0.468 0.753 O
0.162 0.695 0.753 O
0.532 0.838 0.753 O
```

(4)
Computed, not measured: a relaxed Na2Nb3AlSi2P4O24 crystal at the GGA-PBE level of DFT.

The structure in POSCAR format:
```
Na2Nb3AlSi2P4O24
1.0
8.727 0.002 0.002
-4.362 7.560 -0.002
0.005 -0.004 22.603
Na Nb Al Si P O
6 9 3 6 12 72
Direct
0.998 0.000 0.495 Na
0.000 0.000 0.001 Na
0.668 0.334 0.832 Na
0.666 0.334 0.328 Na
0.333 0.665 0.166 Na
0.331 0.665 0.667 Na
0.000 0.000 0.856 Nb
0.999 0.002 0.645 Nb
0.003 0.003 0.146 Nb
0.661 0.332 0.979 Nb
0.670 0.329 0.478 Nb
0.333 0.663 0.023 Nb
0.335 0.666 0.520 Nb
0.337 0.671 0.310 Nb
0.333 0.667 0.813 Nb
0.996 0.000 0.352 Al
0.670 0.335 0.686 Al
0.665 0.335 0.187 Al
0.950 0.337 0.587 Si
0.387 0.335 0.088 Si
0.620 0.666 0.917 Si
0.044 0.380 0.917 Si
0.335 0.954 0.917 Si
0.635 0.955 0.415 Si
0.291 0.011 0.252 P
0.720 0.708 0.252 P
0.989 0.283 0.252 P
0.299 0.290 0.748 P
0.991 0.702 0.748 P
0.710 0.008 0.749 P
0.386 0.052 0.586 P
0.665 0.613 0.586 P
0.948 0.614 0.087 P
0.666 0.052 0.087 P
0.326 0.370 0.415 P
0.047 0.676 0.415 P
0.198 0.030 0.306 O
0.831 0.800 0.306 O
0.969 0.170 0.306 O
0.207 0.175 0.803 O
0.970 0.795 0.804 O
0.825 0.031 0.804 O
0.801 0.974 0.695 O
0.174 0.199 0.694 O
0.026 0.826 0.694 O
0.797 0.827 0.196 O
0.028 0.201 0.195 O
0.172 0.972 0.196 O
0.858 0.365 0.643 O
0.498 0.136 0.640 O
0.634 0.501 0.640 O
0.865 0.501 0.141 O
0.640 0.138 0.141 O
0.506 0.364 0.144 O
0.467 0.301 0.027 O
0.840 0.537 0.029 O
0.699 0.160 0.029 O
0.463 0.162 0.529 O
0.696 0.536 0.529 O
0.833 0.302 0.526 O
0.534 0.702 0.975 O
0.168 0.466 0.975 O
0.298 0.833 0.975 O
0.532 0.834 0.473 O
0.301 0.462 0.471 O
0.160 0.696 0.471 O
0.129 0.634 0.361 O
0.498 0.861 0.359 O
0.361 0.494 0.361 O
0.135 0.500 0.858 O
0.366 0.865 0.858 O
0.500 0.634 0.858 O
0.029 0.839 0.407 O
0.826 0.977 0.406 O
0.165 0.189 0.407 O
0.027 0.187 0.907 O
0.162 0.975 0.907 O
0.813 0.839 0.908 O
0.975 0.161 0.592 O
0.196 0.025 0.591 O
0.830 0.802 0.592 O
0.971 0.803 0.092 O
0.829 0.025 0.092 O
0.185 0.160 0.092 O
0.690 0.170 0.741 O
0.480 0.308 0.740 O
0.827 0.522 0.742 O
0.695 0.524 0.243 O
0.830 0.307 0.241 O
0.476 0.167 0.243 O
0.644 0.496 0.923 O
0.852 0.358 0.924 O
0.507 0.147 0.923 O
0.640 0.146 0.424 O
0.497 0.361 0.424 O
0.862 0.507 0.424 O
0.357 0.505 0.078 O
0.137 0.642 0.079 O
0.502 0.865 0.079 O
0.361 0.863 0.577 O
0.503 0.640 0.577 O
0.148 0.505 0.575 O
0.304 0.836 0.258 O
0.530 0.690 0.258 O
0.161 0.469 0.258 O
0.309 0.471 0.754 O
0.162 0.690 0.755 O
0.528 0.836 0.754 O
```

| no. | mass density (kg/m3) | energy with MP2020 corrections (eV for the cell shown) | ΔE_f (kJ/mol of formula units) |
| --- | --- | --- | --- |
| 1 | 2996 | -859.86 | -5067.9 |
| 2 | 2885 | -812.74 | -9479.9 |
| 3 | 3017 | -876.07 | -10886.6 |
| 4 | 3059 | -883.00 | -10264.4 |